# K2CaMg5Si8H2O24

An optimized crystal structure of K2CaMg5Si8H2O24 (PBE, the Materials Project database).

E = -293.6 eV/cell
Calculated density = 2.9 g cm⁻³
ΔE_f = -3.07 eV per atom
Space group = P1, No. 1

POSCAR file:
```
K2CaMg5Si8H2O24
1.0
-0.802 -1.581 5.036
7.379 -6.240 -3.588
3.102 9.813 2.147
O Mg Si H K Ca
24 5 8 2 2 1
Direct
0.891 0.793 0.254
0.104 0.213 0.738
0.614 0.899 0.002
0.713 0.895 0.495
0.979 0.673 0.999
0.448 0.713 0.669
0.975 0.193 0.174
0.363 0.461 0.254
0.801 0.022 0.826
0.148 0.547 0.769
0.389 0.104 0.002
0.784 0.060 0.346
0.021 0.325 0.999
0.324 0.123 0.512
0.562 0.287 0.346
0.781 0.600 0.495
0.635 0.526 0.739
0.220 0.956 0.669
0.622 0.223 0.769
0.391 0.785 0.226
0.025 0.804 0.827
0.836 0.441 0.226
0.200 0.981 0.174
0.187 0.389 0.512
0.818 0.818 0.636
0.411 0.911 0.821
0.000 0.000 0.998
0.179 0.179 0.357
0.588 0.089 0.177
0.949 0.644 0.829
0.359 0.546 0.659
0.881 0.185 0.829
0.637 0.449 0.342
0.121 0.816 0.168
0.300 0.113 0.659
0.705 0.893 0.342
0.046 0.352 0.168
0.446 0.201 0.001
0.554 0.801 0.001
0.487 0.510 0.003
0.215 0.715 0.430
0.778 0.278 0.556
```